No. 1
Density functional theory data (PBE+U) for an optimized crystal structure of LiFeP4O12.

abc: 8.5379 8.5379 9.1630
angles: 114.38 114.38 56.05
Element x y z (fractional)
1 Li 0.0000 0.0000 0.0000
2 Li 0.0000 0.0000 0.5000
3 Fe 0.3370 0.6630 0.7500
4 Fe 0.6630 0.3370 0.2500
5 P 0.0521 0.6488 0.8956
6 P 0.2945 0.4245 0.3626
7 P 0.3512 0.9479 0.6044
8 P 0.4245 0.2945 0.8626
9 P 0.5755 0.7055 0.1374
10 P 0.6488 0.0521 0.3956
11 P 0.7055 0.5755 0.6374
12 P 0.9479 0.3512 0.1044
13 O 0.0119 0.7848 0.0570
14 O 0.0954 0.7258 0.8002
15 O 0.1265 0.3953 0.2142
16 O 0.2092 0.5795 0.5059
17 O 0.2152 0.9881 0.4430
18 O 0.2186 0.4306 0.9120
19 O 0.2742 0.9046 0.6998
20 O 0.3953 0.1265 0.7142
21 O 0.4047 0.4589 0.2972
22 O 0.4205 0.7908 0.9941
23 O 0.4306 0.2186 0.4120
24 O 0.4589 0.4047 0.7972
25 O 0.5411 0.5953 0.2028
26 O 0.5694 0.7814 0.5880
27 O 0.5795 0.2092 0.0059
28 O 0.5953 0.5411 0.7028
29 O 0.6047 0.8735 0.2858
30 O 0.7258 0.0954 0.3002
31 O 0.7814 0.5694 0.0880
32 O 0.7848 0.0119 0.5570
33 O 0.7908 0.4205 0.4941
34 O 0.8735 0.6047 0.7858
35 O 0.9046 0.2742 0.1998
36 O 0.9881 0.2152 0.9430

Results
space-group type = No. 15
E above lowest polymorph = 76 meV/atom

No. 2
Density functional theory data (PBE+U) for an optimized crystal structure of Li3V2Si2O10.

abc: 6.3807 6.3807 9.1385
angles: 90.00 90.00 89.81
Element x y z (fractional)
1 Li 0.0000 0.0000 0.0000
2 Li 0.0000 0.5000 0.0000
3 Li 0.0000 0.5000 0.5000
4 Li 0.5000 0.0000 0.0000
5 Li 0.5000 0.0000 0.5000
6 Li 0.5000 0.5000 0.5000
7 V 0.2416 0.7584 0.7025
8 V 0.2584 0.7416 0.2025
9 V 0.7416 0.2584 0.7975
10 V 0.7584 0.2416 0.2975
11 Si 0.2495 0.2505 0.7500
12 Si 0.2505 0.2495 0.2500
13 Si 0.7495 0.7505 0.7500
14 Si 0.7505 0.7495 0.2500
15 O 0.0416 0.2481 0.8561
16 O 0.0430 0.2587 0.3566
17 O 0.2307 0.7693 0.8837
18 O 0.2413 0.4570 0.1434
19 O 0.2481 0.0416 0.1439
20 O 0.2519 0.4584 0.6439
21 O 0.2587 0.0430 0.6434
22 O 0.2693 0.7307 0.3837
23 O 0.4570 0.2413 0.8566
24 O 0.4584 0.2519 0.3561
25 O 0.5416 0.7481 0.6439
26 O 0.5430 0.7587 0.1434
27 O 0.7307 0.2693 0.6163
28 O 0.7413 0.9570 0.3566
29 O 0.7481 0.5416 0.3561
30 O 0.7519 0.9584 0.8561
31 O 0.7587 0.5430 0.8566
32 O 0.7693 0.2307 0.1163
33 O 0.9570 0.7413 0.6434
34 O 0.9584 0.7519 0.1439

Results
space-group type = No. 64
E above lowest polymorph = 5 meV/atom

No. 3
Density functional theory data (PBE+U) for an optimized crystal structure of MgNiO2.

abc: 2.9825 8.0125 8.2693
angles: 89.04 80.71 89.78
Element x y z (fractional)
1 Mg 0.0000 0.0000 0.0000
2 Mg 0.0848 0.8149 0.3846
3 Mg 0.6207 0.3500 0.1445
4 Mg 0.7076 0.1647 0.5290
5 Ni 0.0502 0.4835 0.4819
6 Ni 0.3110 0.3353 0.8420
7 Ni 0.3939 0.8291 0.6871
8 Ni 0.6543 0.6813 0.0472
9 O 0.1051 0.8171 0.1520
10 O 0.1678 0.4881 0.0374
11 O 0.2137 0.0020 0.5209
12 O 0.4939 0.1627 0.0082
13 O 0.5375 0.6765 0.4917
14 O 0.5992 0.3475 0.3772
15 O 0.8084 0.8308 0.8442
16 O 0.8962 0.3343 0.6851

Results
space-group type = No. 1

No. 4
Density functional theory data (PBE+U) for an optimized crystal structure of LiCrPO4F.

abc: 6.2061 10.7674 11.0166
angles: 90.19 90.24 90.10
Element x y z (fractional)
1 Li 0.0000 0.0000 0.0000
2 Li 0.0028 0.2056 0.3218
3 Li 0.0087 0.4981 0.6885
4 Li 0.2593 0.5403 0.4210
5 Li 0.2698 0.0122 0.7619
6 Li 0.5087 0.5507 0.1880
7 Li 0.7446 0.5017 0.9099
8 Li 0.9952 0.7364 0.3603
9 Cr 0.2546 0.7744 0.5955
10 Cr 0.2574 0.2696 0.5962
11 Cr 0.2583 0.7736 0.0903
12 Cr 0.2603 0.2749 0.0902
13 Cr 0.7473 0.7788 0.5964
14 Cr 0.7507 0.2689 0.5953
15 Cr 0.7515 0.7748 0.0909
16 Cr 0.7534 0.2732 0.0933
17 P 0.0040 0.0359 0.5230
18 P 0.0100 0.5346 0.1704
19 P 0.0127 0.2390 0.8561
20 P 0.4979 0.3132 0.3346
21 P 0.4992 0.8144 0.3526
22 P 0.5009 0.0153 0.0107
23 P 0.5072 0.5149 0.6720
24 P 0.9943 0.7387 0.8310
25 O 0.0022 0.7892 0.9694
26 O 0.0044 0.8915 0.5610
27 O 0.0067 0.2914 0.7193
28 O 0.0073 0.3936 0.1286
29 O 0.0109 0.5521 0.3066
30 O 0.0174 0.0484 0.3886
31 O 0.0207 0.0987 0.8550
32 O 0.2010 0.7935 0.7718
33 O 0.2045 0.0897 0.5947
34 O 0.2136 0.2978 0.9167
35 O 0.2146 0.5918 0.1116
36 O 0.2970 0.9535 0.0689
37 O 0.2991 0.2547 0.2696
38 O 0.2992 0.4571 0.6084
39 O 0.3012 0.7431 0.4147
40 O 0.4800 0.4542 0.3341
41 O 0.4817 0.9501 0.3454
42 O 0.4942 0.0176 0.8761
43 O 0.5009 0.2636 0.4699
44 O 0.5018 0.5122 0.8070
45 O 0.5041 0.6534 0.6200
46 O 0.5059 0.7515 0.2158
47 O 0.5065 0.1537 0.0666
48 O 0.7047 0.7595 0.4160
49 O 0.7090 0.2675 0.2730
50 O 0.7089 0.9537 0.0648
51 O 0.7126 0.4532 0.6166
52 O 0.7940 0.7974 0.7719
53 O 0.7982 0.0917 0.5807
54 O 0.8013 0.5898 0.1091
55 O 0.8079 0.2965 0.9174
56 O 0.9832 0.5977 0.8341
57 F 0.0017 0.6593 0.5799
58 F 0.0053 0.1604 0.1082
59 F 0.0050 0.8064 0.1988
60 F 0.0060 0.3035 0.4871
61 F 0.4959 0.8884 0.6072
62 F 0.5038 0.2402 0.7015
63 F 0.5058 0.7362 0.9865
64 F 0.5107 0.3914 0.0808

Results
space-group type = No. 1
E above lowest polymorph = 76 meV/atom

No. 5
Density functional theory data (PBE+U) for an optimized crystal structure of Rb2UMo2O11.

abc: 8.1870 11.1507 13.8112
angles: 90.00 97.02 90.00
Element x y z (fractional)
1 Rb 0.0562 0.1649 0.4163
2 Rb 0.0562 0.3351 0.9163
3 Rb 0.2361 0.5746 0.3754
4 Rb 0.2361 0.9254 0.8754
5 Rb 0.7639 0.0746 0.1246
6 Rb 0.7639 0.4254 0.6246
7 Rb 0.9438 0.6649 0.0837
8 Rb 0.9438 0.8351 0.5837
9 U 0.4762 0.7361 0.1490
10 U 0.4762 0.7639 0.6490
11 U 0.5238 0.2361 0.3510
12 U 0.5238 0.2639 0.8510
13 Mo 0.2404 0.0390 0.1488
14 Mo 0.2404 0.4610 0.6488
15 Mo 0.4929 0.1043 0.5935
16 Mo 0.4929 0.3957 0.0935
17 Mo 0.5071 0.6043 0.9065
18 Mo 0.5071 0.8957 0.4065
19 Mo 0.7596 0.5390 0.3512
20 Mo 0.7596 0.9610 0.8512
21 O 0.0319 0.6860 0.8418
22 O 0.0319 0.8140 0.3418
23 O 0.0908 0.5017 0.7256
24 O 0.0908 0.9983 0.2256
25 O 0.1345 0.1210 0.0514
26 O 0.1345 0.3790 0.5514
27 O 0.2790 0.1084 0.5866
28 O 0.2790 0.3916 0.0866
29 O 0.2818 0.6604 0.1640
30 O 0.2818 0.8396 0.6640
31 O 0.3267 0.1908 0.8619
32 O 0.3267 0.3092 0.3619
33 O 0.3307 0.5907 0.5925
34 O 0.3307 0.9093 0.0925
35 O 0.4025 0.1319 0.2147
36 O 0.4025 0.3681 0.7147
37 O 0.4212 0.7230 0.9770
38 O 0.4212 0.7770 0.4770
39 O 0.4270 0.0509 0.4162
40 O 0.4270 0.4491 0.9162
41 O 0.4316 0.6438 0.7824
42 O 0.4316 0.8562 0.2824
43 O 0.5684 0.1438 0.7176
44 O 0.5684 0.3562 0.2176
45 O 0.5730 0.5509 0.0838
46 O 0.5730 0.9491 0.5838
47 O 0.5788 0.2230 0.5230
48 O 0.5788 0.2770 0.0230
49 O 0.5975 0.6319 0.2853
50 O 0.5975 0.8681 0.7853
51 O 0.6693 0.0907 0.9075
52 O 0.6693 0.4093 0.4075
53 O 0.6733 0.6908 0.6381
54 O 0.6733 0.8092 0.1381
55 O 0.7182 0.1604 0.3360
56 O 0.7182 0.3396 0.8360
57 O 0.7210 0.6084 0.9134
58 O 0.7210 0.8916 0.4134
59 O 0.8655 0.6210 0.4486
60 O 0.8655 0.8790 0.9486
61 O 0.9092 0.0017 0.7744
62 O 0.9092 0.4983 0.2744
63 O 0.9681 0.1860 0.6582
64 O 0.9681 0.3140 0.1582

Results
space-group type = No. 14

No. 6
Density functional theory data (PBE+U) for an optimized crystal structure of Li2FeF4.

abc: 5.1010 10.0266 12.5260
angles: 90.00 90.00 90.00
Element x y z (fractional)
1 Li 0.0000 0.0000 0.0000
2 Li 0.0000 0.0000 0.2934
3 Li 0.0000 0.0000 0.6310
4 Li 0.0000 0.5000 0.3748
5 Li 0.0193 0.2485 0.5015
6 Li 0.0193 0.7041 0.1572
7 Li 0.4807 0.2041 0.6572
8 Li 0.4807 0.7485 0.0015
9 Li 0.5000 0.0000 0.8748
10 Li 0.5000 0.5000 0.1310
11 Li 0.5000 0.5000 0.5000
12 Li 0.5000 0.5000 0.7934
13 Li 0.5193 0.2515 0.0015
14 Li 0.5193 0.7959 0.6572
15 Li 0.9807 0.2959 0.1572
16 Li 0.9807 0.7515 0.5015
17 Fe 0.0000 0.5000 0.6593
18 Fe 0.0000 0.5000 0.9478
19 Fe 0.0207 0.2295 0.8099
20 Fe 0.4793 0.7295 0.3099
21 Fe 0.5000 0.0000 0.1593
22 Fe 0.5000 0.0000 0.4478
23 Fe 0.5207 0.2705 0.3099
24 Fe 0.9793 0.7705 0.8099
25 F 0.1680 0.8411 0.6733
26 F 0.1760 0.6146 0.2810
27 F 0.1872 0.5995 0.8068
28 F 0.2004 0.6023 0.5424
29 F 0.2026 0.8735 0.1887
30 F 0.2133 0.8668 0.9217
31 F 0.2282 0.8581 0.4185
32 F 0.2301 0.6102 0.0500
33 F 0.2699 0.1102 0.5500
34 F 0.2718 0.3581 0.9185
35 F 0.2867 0.3668 0.4217
36 F 0.2974 0.3735 0.6887
37 F 0.2996 0.1023 0.0424
38 F 0.3128 0.0995 0.3068
39 F 0.3240 0.1146 0.7810
40 F 0.3320 0.3411 0.1733
41 F 0.6680 0.6589 0.1733
42 F 0.6760 0.8854 0.7810
43 F 0.6872 0.9005 0.3068
44 F 0.7004 0.8977 0.0424
45 F 0.7026 0.6265 0.6887
46 F 0.7133 0.6332 0.4217
47 F 0.7282 0.6419 0.9185
48 F 0.7301 0.8898 0.5500
49 F 0.7699 0.3898 0.0500
50 F 0.7718 0.1419 0.4185
51 F 0.7867 0.1332 0.9217
52 F 0.7974 0.1265 0.1887
53 F 0.7996 0.3977 0.5424
54 F 0.8128 0.4005 0.8068
55 F 0.8240 0.3854 0.2810
56 F 0.8320 0.1589 0.6733

Results
space-group type = No. 34
E above lowest polymorph = 32 meV/atom

No. 7
Density functional theory data (PBE+U) for an optimized crystal structure of MgFe8O14F2.

abc: 4.7840 4.8499 11.8721
angles: 89.91 89.92 89.75
Element x y z (fractional)
1 Mg 0.0000 0.0000 0.0000
2 Fe 0.0010 0.4791 0.5062
3 Fe 0.0020 0.4763 0.7486
4 Fe 0.0068 0.4810 0.2486
5 Fe 0.4684 0.9481 0.3786
6 Fe 0.4999 0.9623 0.8595
7 Fe 0.5020 0.9657 0.1410
8 Fe 0.5020 0.9809 0.6209
9 Fe 0.9416 0.5062 0.9996
10 O 0.1478 0.7126 0.1161
11 O 0.1477 0.7138 0.8836
12 O 0.1752 0.6527 0.3810
13 O 0.1906 0.6651 0.6219
14 O 0.3048 0.1665 0.2573
15 O 0.3096 0.1574 0.4991
16 O 0.3168 0.1737 0.7431
17 O 0.6495 0.7909 0.0000
18 O 0.6743 0.7631 0.2608
19 O 0.6825 0.7909 0.4994
20 O 0.6845 0.7762 0.7388
21 O 0.8129 0.2878 0.6206
22 O 0.8271 0.2619 0.1184
23 O 0.8288 0.2622 0.8821
24 F 0.3296 0.2168 0.0006
25 F 0.8035 0.2783 0.3776

Results
space-group type = No. 1
E above lowest polymorph = 59 meV/atom

No. 8
Density functional theory data (PBE+U) for an optimized crystal structure of Tl2TeMo2P2O14.

abc: 12.6570 9.2295 11.5035
angles: 90.00 90.00 90.00
Element x y z (fractional)
1 Tl 0.1829 0.0264 0.2244
2 Tl 0.1829 0.9736 0.7244
3 Tl 0.3171 0.4736 0.7244
4 Tl 0.3171 0.5264 0.2244
5 Tl 0.6829 0.4736 0.7756
6 Tl 0.6829 0.5264 0.2756
7 Tl 0.8171 0.0264 0.2756
8 Tl 0.8171 0.9736 0.7756
9 Te 0.0000 0.3719 0.7500
10 Te 0.0000 0.6281 0.2500
11 Te 0.5000 0.1281 0.2500
12 Te 0.5000 0.8719 0.7500
13 Mo 0.1230 0.2489 0.4818
14 Mo 0.1230 0.7511 0.9818
15 Mo 0.3770 0.2511 0.9818
16 Mo 0.3770 0.7489 0.4818
17 Mo 0.6230 0.2511 0.5182
18 Mo 0.6230 0.7489 0.0182
19 Mo 0.8770 0.2489 0.0182
20 Mo 0.8770 0.7511 0.5182
21 P 0.1315 0.3648 0.0040
22 P 0.1315 0.6352 0.5040
23 P 0.3685 0.1352 0.5040
24 P 0.3685 0.8648 0.0040
25 P 0.6315 0.1352 0.9960
26 P 0.6315 0.8648 0.4960
27 P 0.8685 0.3648 0.4960
28 P 0.8685 0.6352 0.9960
29 O 0.0302 0.2938 0.0541
30 O 0.0302 0.7062 0.5541
31 O 0.0731 0.2354 0.6574
32 O 0.0731 0.7646 0.1574
33 O 0.1131 0.0634 0.4574
34 O 0.1131 0.9366 0.9574
35 O 0.1311 0.3582 0.8689
36 O 0.1311 0.6418 0.3689
37 O 0.1393 0.4793 0.5505
38 O 0.1393 0.5207 0.0505
39 O 0.1647 0.3127 0.3464
40 O 0.1647 0.6873 0.8464
41 O 0.2271 0.2731 0.0493
42 O 0.2271 0.7269 0.5493
43 O 0.2729 0.2269 0.5493
44 O 0.2729 0.7731 0.0493
45 O 0.3353 0.1873 0.8464
46 O 0.3353 0.8127 0.3464
47 O 0.3607 0.0207 0.0505
48 O 0.3607 0.9793 0.5505
49 O 0.3689 0.1418 0.3689
50 O 0.3689 0.8582 0.8689
51 O 0.3869 0.4366 0.9574
52 O 0.3869 0.5634 0.4574
53 O 0.4269 0.2646 0.1574
54 O 0.4269 0.7354 0.6574
55 O 0.4698 0.2062 0.5541
56 O 0.4698 0.7938 0.0541
57 O 0.5302 0.2062 0.9459
58 O 0.5302 0.7938 0.4459
59 O 0.5731 0.2646 0.3426
60 O 0.5731 0.7354 0.8426
61 O 0.6131 0.4366 0.5426
62 O 0.6131 0.5634 0.0426
63 O 0.6311 0.1418 0.1311
64 O 0.6311 0.8582 0.6311
65 O 0.6393 0.0207 0.4495
66 O 0.6393 0.9793 0.9495
67 O 0.6647 0.1873 0.6536
68 O 0.6647 0.8127 0.1536
69 O 0.7271 0.2269 0.9507
70 O 0.7271 0.7731 0.4507
71 O 0.7729 0.2731 0.4507
72 O 0.7729 0.7269 0.9507
73 O 0.8353 0.3127 0.1536
74 O 0.8353 0.6873 0.6536
75 O 0.8607 0.4793 0.9495
76 O 0.8607 0.5207 0.4495
77 O 0.8689 0.3582 0.6311
78 O 0.8689 0.6418 0.1311
79 O 0.8869 0.0634 0.0426
80 O 0.8869 0.9366 0.5426
81 O 0.9269 0.2354 0.8426
82 O 0.9269 0.7646 0.3426
83 O 0.9698 0.2938 0.4459
84 O 0.9698 0.7062 0.9459

Results
space-group type = No. 60

Quick rundown of calculated volume, same order as above: 13.60; 10.94; 12.19; 11.50; 19.55; 11.44; 11.02; 16.00 Å³/atom
Quick rundown of energy of formation from the pure elements, same order as above: -2.4747; -2.6987; -1.8789; -2.6811; -2.2551; -2.8671; -1.5770; -2.0657 eV/atom
Quick rundown of calculated total energy, same order as above: -6.970; -7.049; -5.219; -6.865; -6.968; -5.130; -6.132; -6.525 eV/atom